(1)
{"formula": "Cs2TbAuCl6", "functional": "r2SCAN", "state": "optimized geometry", "vol_a3_per_cell": 311, "final_energy_ev_per_atom": -18.82, "formation_enthalpy_0k_ev_per_fu": -19.3, "lattice_angstrom": [[0.0000, 5.3785, 5.3785], [5.3785, 0.0000, 5.3785], [5.3785, 5.3785, 0.0000]], "species": ["Cs", "Cs", "Tb", "Au", "Cl", "Cl", "Cl", "Cl", "Cl", "Cl"], "frac_coords": [[0.2500, 0.2500, 0.2500], [0.7500, 0.7500, 0.7500], [0.0000, 0.0000, 0.0000], [0.5000, 0.5000, 0.5000], [0.2453, 0.2453, 0.7547], [0.2453, 0.7547, 0.2453], [0.2453, 0.7547, 0.7547], [0.7547, 0.2453, 0.2453], [0.7547, 0.2453, 0.7547], [0.7547, 0.7547, 0.2453]]}

(2)
{"formula": "KAuCl4", "functional": "r2SCAN", "state": "optimized geometry", "vol_a3_per_cell": 684, "final_energy_ev_per_atom": -14.57, "formation_enthalpy_0k_ev_per_fu": -6.2, "lattice_angstrom": [[8.7422, 0.0000, 0.0000], [0.0000, 6.4114, 0.0000], [-1.3193, 0.0000, 12.1996]], "species": ["K", "K", "K", "K", "Au", "Au", "Au", "Au", "Cl", "Cl", "Cl", "Cl", "Cl", "Cl", "Cl", "Cl", "Cl", "Cl", "Cl", "Cl", "Cl", "Cl", "Cl", "Cl"], "frac_coords": [[0.0000, 0.1968, 0.0000], [0.0000, 0.8032, 0.5000], [0.5783, 0.3021, 0.6357], [0.5783, 0.6979, 0.1357], [0.2877, 0.2513, 0.3198], [0.2877, 0.7487, 0.8198], [0.7882, 0.2517, 0.3169], [0.7882, 0.7483, 0.8169], [0.1167, 0.0017, 0.7510], [0.1167, 0.9983, 0.2510], [0.2825, 0.4009, 0.1492], [0.2825, 0.5991, 0.6492], [0.2938, 0.1008, 0.4904], [0.2938, 0.8992, 0.9904], [0.4587, 0.4957, 0.8886], [0.4587, 0.5043, 0.3886], [0.6598, 0.0418, 0.8652], [0.6598, 0.9582, 0.3652], [0.6947, 0.1999, 0.1361], [0.6947, 0.8001, 0.6361], [0.8820, 0.3029, 0.4976], [0.8820, 0.6971, 0.9976], [0.9159, 0.4542, 0.7688], [0.9159, 0.5458, 0.2688]]}

(3)
{"formula": "PAuCl8", "functional": "r2SCAN", "state": "optimized geometry", "vol_a3_per_cell": 1163, "final_energy_ev_per_atom": -11.48, "formation_enthalpy_0k_ev_per_fu": -6.0, "lattice_angstrom": [[-6.3221, 7.8991, 5.8206], [6.3221, -7.8991, 5.8206], [6.3221, 7.8991, -5.8206]], "species": ["P", "P", "P", "P", "Au", "Au", "Au", "Au", "Cl", "Cl", "Cl", "Cl", "Cl", "Cl", "Cl", "Cl", "Cl", "Cl", "Cl", "Cl", "Cl", "Cl", "Cl", "Cl", "Cl", "Cl", "Cl", "Cl", "Cl", "Cl", "Cl", "Cl", "Cl", "Cl", "Cl", "Cl", "Cl", "Cl", "Cl", "Cl"], "frac_coords": [[0.2532, 0.0000, 0.7532], [0.2532, 0.5000, 0.2532], [0.7468, 0.0000, 0.2468], [0.7468, 0.5000, 0.7468], [0.1716, 0.4216, 0.7500], [0.3120, 0.0620, 0.2500], [0.6880, 0.9380, 0.7500], [0.8284, 0.5784, 0.2500], [0.0253, 0.7753, 0.2500], [0.0263, 0.4217, 0.6046], [0.0741, 0.3158, 0.1052], [0.0741, 0.9688, 0.7583], [0.1675, 0.0630, 0.1046], [0.2414, 0.5140, 0.4229], [0.2414, 0.8185, 0.7274], [0.2894, 0.0312, 0.6052], [0.2894, 0.6842, 0.2583], [0.3103, 0.2422, 0.4319], [0.3103, 0.8784, 0.0681], [0.3171, 0.4217, 0.8954], [0.3701, 0.6201, 0.7500], [0.4090, 0.1815, 0.9229], [0.4090, 0.4860, 0.2274], [0.4584, 0.0630, 0.3954], [0.5416, 0.9370, 0.6046], [0.5910, 0.5140, 0.7726], [0.5910, 0.8185, 0.0771], [0.6299, 0.3799, 0.2500], [0.6829, 0.5783, 0.1046], [0.6897, 0.1216, 0.9319], [0.6897, 0.7578, 0.5681], [0.7106, 0.3158, 0.7417], [0.7106, 0.9688, 0.3948], [0.7586, 0.1815, 0.2726], [0.7586, 0.4860, 0.5771], [0.8325, 0.9370, 0.8954], [0.9259, 0.0312, 0.2417], [0.9259, 0.6842, 0.8948], [0.9737, 0.5783, 0.3954], [0.9747, 0.2247, 0.7500]]}

(4)
{"formula": "PAuCl4", "functional": "r2SCAN", "state": "optimized geometry", "vol_a3_per_cell": 679, "final_energy_ev_per_atom": -14.69, "formation_enthalpy_0k_ev_per_fu": -4.0, "lattice_angstrom": [[7.4544, 0.0000, 0.0000], [0.0000, 14.7680, 0.0000], [-0.6055, 0.0000, 6.1660]], "species": ["P", "P", "P", "P", "Au", "Au", "Au", "Au", "Cl", "Cl", "Cl", "Cl", "Cl", "Cl", "Cl", "Cl", "Cl", "Cl", "Cl", "Cl", "Cl", "Cl", "Cl", "Cl"], "frac_coords": [[0.2443, 0.1299, 0.4775], [0.2443, 0.3701, 0.9775], [0.7557, 0.6299, 0.0225], [0.7557, 0.8701, 0.5225], [0.4548, 0.2350, 0.4847], [0.4548, 0.2650, 0.9847], [0.5452, 0.7350, 0.0153], [0.5452, 0.7650, 0.5153], [0.0127, 0.1727, 0.5812], [0.0127, 0.3273, 0.0812], [0.1682, 0.0779, 0.1837], [0.1682, 0.4221, 0.6837], [0.3039, 0.0198, 0.6593], [0.3039, 0.4802, 0.1593], [0.3295, 0.6542, 0.5090], [0.3295, 0.8458, 0.0090], [0.6705, 0.1542, 0.9910], [0.6705, 0.3458, 0.4910], [0.6961, 0.5198, 0.8407], [0.6961, 0.9802, 0.3407], [0.8318, 0.5779, 0.3163], [0.8318, 0.9221, 0.8163], [0.9873, 0.6727, 0.9188], [0.9873, 0.8273, 0.4188]]}